! MgV2Cr4O12, relaxed, DFT PBE with a Hubbard U; values from VASP
! Calculated formation energy (kJ per mole of atoms): -216.5
! Spin magnetization (μB/f.u.): 12.000
! Electronic total energy (eV/atom): -7.4084
! E above lowest polymorph (meV/atom): 6.6
&SYSTEM
  ibrav = 0, nat = 19, ntyp = 4
/
ATOMIC_SPECIES
O 16.00 O.upf
Cr 52.00 Cr.upf
V 50.94 V.upf
Mg 24.30 Mg.upf
ATOMIC_POSITIONS angstrom
O -2.198 1.589 4.429
O 4.591 1.585 7.333
O 2.067 1.872 6.004
O 3.420 -2.112 8.067
O 3.132 -0.408 5.944
O -1.557 -1.157 4.306
O 1.056 -1.901 6.368
O 5.861 -1.050 7.046
O 1.911 0.248 8.242
O 0.509 2.349 3.719
O 0.849 -0.699 3.328
O -0.025 0.525 5.807
Cr 0.937 3.139 5.269
Cr -0.576 0.635 3.881
Cr 4.129 -0.305 7.744
Cr 1.052 0.824 9.959
V 6.693 -1.258 5.444
V 1.567 0.032 6.507
Mg -1.676 1.710 6.294
CELL_PARAMETERS angstrom
-1.312 4.162 2.942
-2.721 -1.973 3.987
7.294 -1.958 4.997



! Mg14VCrO16, relaxed, DFT PBE with a Hubbard U; values from VASP
! Calculated formation energy (kJ per mole of atoms): -279.3
! Spin magnetization (μB/f.u.): 7.000
! Electronic total energy (eV/atom): -6.1954
! E above lowest polymorph (meV/atom): 2.0
&SYSTEM
  ibrav = 0, nat = 32, ntyp = 4
/
ATOMIC_SPECIES
Mg 24.30 Mg.upf
O 16.00 O.upf
V 50.94 V.upf
Cr 52.00 Cr.upf
ATOMIC_POSITIONS angstrom
Mg -1.685 -1.897 -1.623
Mg 0.304 -6.673 -0.889
Mg -6.662 -0.959 -0.338
Mg 0.640 -3.806 -1.807
Mg -2.670 -0.969 1.095
Mg -6.029 -4.765 -2.148
Mg -2.023 -4.775 -0.710
Mg -4.346 -2.869 -0.527
Mg -1.045 -5.706 -3.431
Mg -3.707 -6.671 -2.332
Mg -4.011 0.009 -1.439
Mg -0.333 -2.885 0.910
Mg -5.698 -1.888 -3.063
Mg -5.058 -5.696 -4.871
O -4.666 -0.964 0.378
O -5.405 -3.792 -3.977
O -2.044 0.005 -0.733
O -1.697 -6.680 -1.613
O -5.979 0.014 -2.146
O -6.355 -2.860 -1.245
O -2.338 -2.869 0.197
O -0.655 -0.973 1.818
O -5.714 -6.671 -3.055
O -3.696 -1.867 -2.331
O -0.015 -4.779 0.010
O -4.026 -4.770 -1.429
O 0.954 -5.673 -2.694
O -3.047 -5.726 -4.163
O -1.338 -3.802 -2.517
O 0.326 -1.939 -0.921
V 0.000 0.000 0.000
Cr -3.371 -3.797 -3.247
CELL_PARAMETERS angstrom
-8.023 0.019 -2.879
1.280 -7.612 -3.615
-1.309 -1.946 3.636



! MgV4Cr2O12, relaxed, DFT PBE with a Hubbard U; values from VASP
! Calculated formation energy (kJ per mole of atoms): -231.9
! Spin magnetization (μB/f.u.): 9.999
! Electronic total energy (eV/atom): -7.5392
! E above lowest polymorph (meV/atom): 0.0
&SYSTEM
  ibrav = 0, nat = 19, ntyp = 4
/
ATOMIC_SPECIES
V 50.94 V.upf
O 16.00 O.upf
Mg 24.30 Mg.upf
Cr 52.00 Cr.upf
ATOMIC_POSITIONS angstrom
V -2.032 -4.769 -3.875
V -2.620 -1.872 -5.349
V -5.279 0.448 -2.445
V -4.477 -2.360 -1.193
O -3.979 -0.908 -1.968
O -1.332 -2.256 -6.507
O -6.171 1.082 -0.916
O -3.229 -3.358 -4.545
O -0.811 -5.311 -5.293
O -3.079 -3.044 -0.484
O -1.084 -4.464 -2.333
O -5.158 -3.419 -2.409
O -4.064 -1.275 -6.034
O -2.047 -0.766 -4.164
O -5.671 -1.882 0.145
O -5.396 0.711 -4.310
Mg -5.317 -3.316 -4.570
Cr -5.713 -0.157 -6.028
Cr -1.350 -3.989 -0.394
CELL_PARAMETERS angstrom
-5.839 3.526 0.114
-0.043 -2.187 -6.752
-1.176 -5.514 0.178



! MgV5CrO12, relaxed, DFT PBE with a Hubbard U; values from VASP
! Calculated formation energy (kJ per mole of atoms): -236.1
! Spin magnetization (μB/f.u.): 9.000
! Electronic total energy (eV/atom): -7.5679
&SYSTEM
  ibrav = 0, nat = 19, ntyp = 4
/
ATOMIC_SPECIES
O 16.00 O.upf
V 50.94 V.upf
Cr 52.00 Cr.upf
Mg 24.30 Mg.upf
ATOMIC_POSITIONS angstrom
O -4.404 -0.353 0.219
O -3.381 -1.309 3.672
O -2.792 4.640 2.499
O -5.921 -0.235 2.619
O -5.936 3.133 -0.785
O -6.549 -2.409 0.919
O -5.068 2.648 3.311
O -3.473 5.449 -0.423
O -5.843 -3.055 3.980
O -3.480 2.641 0.774
O -2.238 1.834 3.509
O -7.027 0.942 0.595
V -3.419 2.864 2.550
V -6.204 -0.616 0.683
V -7.745 2.481 -0.389
V -5.200 -1.285 3.932
V -4.396 3.859 -0.322
Cr -1.740 -0.113 3.840
Mg -6.831 1.676 2.654
CELL_PARAMETERS angstrom
-1.938 6.340 -2.415
-6.092 -3.517 0.544
-1.408 -0.472 5.332



! MgV2Cr4O12, relaxed, DFT PBE with a Hubbard U; values from VASP
! Calculated formation energy (kJ per mole of atoms): -217.2
! Spin magnetization (μB/f.u.): 12.001
! Electronic total energy (eV/atom): -7.4150
! E above lowest polymorph (meV/atom): 0.0
&SYSTEM
  ibrav = 0, nat = 19, ntyp = 4
/
ATOMIC_SPECIES
Cr 52.00 Cr.upf
O 16.00 O.upf
V 50.94 V.upf
Mg 24.30 Mg.upf
ATOMIC_POSITIONS angstrom
Cr 4.728 -0.037 2.972
Cr 2.352 2.344 1.455
Cr 4.687 4.686 5.901
Cr 2.351 2.342 7.431
O 1.302 1.457 0.035
O 0.929 3.871 7.461
O 1.026 3.947 1.498
O 1.352 1.516 5.838
O 3.334 3.170 5.836
O 3.668 0.742 1.499
O 1.087 3.884 4.409
O 1.330 1.575 3.046
O 3.768 0.818 7.463
O 3.362 3.114 3.047
O 3.397 3.229 0.034
O 3.599 0.800 4.410
V 2.338 2.344 4.579
V 0.008 0.001 8.779
Mg 2.326 4.706 2.909
CELL_PARAMETERS angstrom
4.730 -0.037 0.000
-0.038 4.725 0.000
0.000 0.000 8.818



! MgV2Cr4O12, relaxed, DFT PBE with a Hubbard U; values from VASP
! Calculated formation energy (kJ per mole of atoms): -216.0
! Spin magnetization (μB/f.u.): 12.004
! Electronic total energy (eV/atom): -7.4028
! E above lowest polymorph (meV/atom): 12.2
&SYSTEM
  ibrav = 0, nat = 19, ntyp = 4
/
ATOMIC_SPECIES
O 16.00 O.upf
Cr 52.00 Cr.upf
Mg 24.30 Mg.upf
V 50.94 V.upf
ATOMIC_POSITIONS angstrom
O -1.967 0.638 3.097
O -3.628 2.368 4.361
O -0.173 -1.331 1.594
O -1.871 -0.802 5.192
O -2.922 3.807 6.820
O -3.533 0.929 6.457
O 0.076 -2.731 3.836
O -4.474 -0.302 3.995
O -6.228 1.581 5.530
O -2.562 -2.236 2.739
O -1.127 1.819 5.490
O 0.740 -0.005 4.033
Cr -4.517 2.609 6.108
Cr -3.604 3.685 2.806
Cr -1.002 -1.052 3.432
Cr -1.820 1.828 1.448
Mg 1.313 -0.229 2.038
V -5.426 5.569 4.174
V -2.556 0.904 4.865
CELL_PARAMETERS angstrom
-2.722 -3.623 1.380
2.680 -0.309 3.943
-5.407 5.630 4.116



! MgV4Cr2O12, relaxed, DFT PBE with a Hubbard U; values from VASP
! Calculated formation energy (kJ per mole of atoms): -225.7
! Spin magnetization (μB/f.u.): 9.999
! Electronic total energy (eV/atom): -7.4744
! E above lowest polymorph (meV/atom): 64.8
&SYSTEM
  ibrav = 0, nat = 19, ntyp = 4
/
ATOMIC_SPECIES
O 16.00 O.upf
Cr 52.00 Cr.upf
Mg 24.30 Mg.upf
V 50.94 V.upf
ATOMIC_POSITIONS angstrom
O -1.447 6.747 3.394
O 0.309 7.041 0.732
O -1.115 3.533 3.777
O 3.171 2.681 2.331
O 5.800 1.601 1.807
O 1.181 5.666 2.870
O 1.547 4.198 0.073
O 4.044 1.306 4.469
O 1.336 1.610 3.862
O 3.016 6.737 1.339
O 2.806 4.149 5.128
O 5.467 4.814 1.424
Cr 5.020 6.799 1.215
Cr -0.668 1.548 3.986
Mg 2.578 0.616 2.582
V 4.813 3.135 1.621
V 2.762 2.679 4.195
V -0.460 5.212 3.580
V 1.590 5.668 1.006
CELL_PARAMETERS angstrom
6.659 -0.114 -0.153
-0.803 7.116 0.037
-1.503 1.346 5.317



! MgV2Cr4O12, relaxed, DFT PBE with a Hubbard U; values from VASP
! Calculated formation energy (kJ per mole of atoms): -212.3
! Spin magnetization (μB/f.u.): 12.000
! Electronic total energy (eV/atom): -7.3643
! E above lowest polymorph (meV/atom): 50.7
&SYSTEM
  ibrav = 0, nat = 19, ntyp = 4
/
ATOMIC_SPECIES
O 16.00 O.upf
V 50.94 V.upf
Cr 52.00 Cr.upf
Mg 24.30 Mg.upf
ATOMIC_POSITIONS angstrom
O 1.329 4.179 7.289
O 4.250 1.354 1.321
O 1.753 1.782 2.931
O 3.578 3.550 2.865
O 1.900 1.903 5.632
O 4.172 1.326 7.279
O 1.359 4.148 4.341
O 3.764 3.748 5.676
O 4.126 1.331 4.332
O 3.637 3.622 0.028
O 1.595 1.617 8.549
O 1.384 4.274 1.329
V 0.372 0.381 8.548
V 2.748 2.749 4.365
Cr 2.636 2.635 1.388
Cr 2.807 2.807 7.162
Cr 5.161 5.159 5.725
Cr 0.432 0.437 3.089
Mg 4.505 4.455 1.466
CELL_PARAMETERS angstrom
5.077 0.525 -0.033
0.521 5.079 -0.034
-0.060 -0.064 8.679



! MgV2Cr4O12, relaxed, DFT PBE with a Hubbard U; values from VASP
! Calculated formation energy (kJ per mole of atoms): -215.7
! Spin magnetization (μB/f.u.): 12.003
! Electronic total energy (eV/atom): -7.3999
! E above lowest polymorph (meV/atom): 15.1
&SYSTEM
  ibrav = 0, nat = 19, ntyp = 4
/
ATOMIC_SPECIES
O 16.00 O.upf
Cr 52.00 Cr.upf
V 50.94 V.upf
Mg 24.30 Mg.upf
ATOMIC_POSITIONS angstrom
O -1.871 -1.230 2.875
O -2.200 -4.282 6.935
O -4.372 -1.796 -0.212
O -2.213 -3.724 3.951
O -4.189 -2.681 5.548
O -4.215 -2.260 2.751
O -1.789 -0.807 -0.096
O -1.828 -1.645 5.674
O -2.272 -3.399 0.967
O -3.776 -0.526 7.516
O -3.854 0.373 1.550
O -3.838 -0.188 4.499
Cr -4.318 0.874 6.135
Cr -3.063 -1.509 1.236
Cr 0.037 -0.447 2.991
Cr -2.989 -2.396 7.173
V -3.024 -1.974 4.345
V -1.662 -5.637 8.021
Mg -5.248 -0.757 2.193
CELL_PARAMETERS angstrom
-4.390 1.743 0.315
-1.770 -4.346 -0.627
0.110 -1.309 8.765



! Mg14VCrO16, relaxed, DFT PBE with a Hubbard U; values from VASP
! Calculated formation energy (kJ per mole of atoms): -279.5
! Spin magnetization (μB/f.u.): 7.000
! Electronic total energy (eV/atom): -6.1974
! E above lowest polymorph (meV/atom): 0.0
&SYSTEM
  ibrav = 0, nat = 32, ntyp = 4
/
ATOMIC_SPECIES
O 16.00 O.upf
Mg 24.30 Mg.upf
V 50.94 V.upf
Cr 52.00 Cr.upf
ATOMIC_POSITIONS angstrom
O 1.902 -0.126 0.917
O 4.661 -2.012 5.060
O -1.491 -3.699 2.584
O 3.017 0.186 3.776
O -0.901 -6.155 1.024
O 0.767 -1.755 3.182
O 0.160 -5.901 3.871
O 5.901 -0.390 2.847
O -0.312 -2.131 0.355
O 2.993 -6.466 2.915
O 4.054 -6.159 5.750
O 5.234 -4.530 3.507
O 2.410 -3.957 4.466
O 3.597 -2.337 2.228
O 1.356 -4.273 1.636
O -0.884 0.445 1.894
Mg 1.051 0.317 2.828
Mg 5.560 -2.458 3.173
Mg 1.029 -6.345 1.970
Mg -1.793 -5.764 2.927
Mg 1.636 -2.198 1.280
Mg 4.365 -4.086 5.408
Mg 4.953 -6.605 3.863
Mg 2.712 -1.893 4.122
Mg 3.295 -4.401 2.571
Mg 4.983 0.056 4.725
Mg -1.189 -1.634 2.240
Mg -0.607 -4.143 0.689
Mg 2.108 -6.020 4.809
Mg 0.456 -3.828 3.523
V 0.000 0.000 0.000
Cr 3.901 -0.258 1.882
CELL_PARAMETERS angstrom
-1.213 -8.287 1.378
7.803 -0.516 3.764
-1.769 0.889 3.789



! MgCrWO6, relaxed, DFT PBE with a Hubbard U; values from VASP
! Calculated formation energy (kJ per mole of atoms): -216.2
! Spin magnetization (μB/f.u.): 2.000
! Electronic total energy (eV/atom): -7.0563
&SYSTEM
  ibrav = 0, nat = 9, ntyp = 4
/
ATOMIC_SPECIES
O 16.00 O.upf
Cr 52.00 Cr.upf
Mg 24.30 Mg.upf
W 183.84 W.upf
ATOMIC_POSITIONS angstrom
O 0.827 3.660 -0.482
O 2.072 7.234 2.105
O 2.967 4.742 1.063
O -1.564 3.830 0.935
O -0.977 1.472 -0.029
O 0.410 5.163 2.240
Cr 2.362 5.582 2.767
Mg 4.903 4.435 1.570
W -1.195 4.293 2.822
CELL_PARAMETERS angstrom
-4.635 2.258 -0.652
-1.215 4.413 2.936
7.049 2.566 -0.029



! MgCrW2O8, relaxed, DFT PBE with a Hubbard U; values from VASP
! Calculated formation energy (kJ per mole of atoms): -221.5
! Spin magnetization (μB/f.u.): 4.000
! Electronic total energy (eV/atom): -7.3271
! E above lowest polymorph (meV/atom): 0.0
&SYSTEM
  ibrav = 0, nat = 12, ntyp = 4
/
ATOMIC_SPECIES
O 16.00 O.upf
W 183.84 W.upf
Cr 52.00 Cr.upf
Mg 24.30 Mg.upf
ATOMIC_POSITIONS angstrom
O -1.065 -2.133 -0.804
O -0.863 0.359 -1.811
O 1.560 -4.694 -2.106
O -2.216 -1.429 -3.320
O -1.786 -4.605 -2.074
O 0.672 -1.403 -2.930
O -3.546 -2.466 -0.915
O 0.090 -4.697 -4.716
W -2.577 -0.743 -1.249
W -0.598 -0.540 -3.917
Cr 0.557 -0.905 -0.959
Mg 3.953 -2.371 -4.191
CELL_PARAMETERS angstrom
1.366 3.308 -3.455
4.205 -4.705 -2.494
-5.691 -2.735 0.233



calculated formation energy of number 2 (Mg14VCrO16)?
-279.3 kJ per mole of atoms



Which value of electronic total energy does entry 2 give?
-6.1954 eV/atom